Model 1:
A plane-wave DFT calculation with PBE-GGA was carried out for crystalline Na3AsS4O8 at its relaxed geometry.

* crystal system: monoclinic
* total magnetization: 0.76 μB/f.u.
* calculated volume: 1256.6 Å³/cell

Unit cell a=10.0328 b=10.7166 c=12.1187 alpha=90.00 beta=105.33 gamma=90.00
Space group P2_1/c (No. 14)
One atom of each set of equivalent atoms:
Na 0.0000 0.0000 0.0000
Na 0.1635 0.1002 0.5532
Na 0.2998 0.0981 0.9379
Na 0.5000 0.0000 0.5000
As 0.2640 0.7496 0.2692
S 0.0742 0.5861 0.2205
S 0.2804 0.0685 0.2418
S 0.3322 0.6976 0.4902
S 0.4096 0.6508 0.1892
O 0.0437 0.5874 0.0924
O 0.1457 0.0342 0.7667
O 0.1613 0.1736 0.0547
O 0.1943 0.1932 0.1781
O 0.2246 0.6044 0.5000
O 0.3048 0.0923 0.3684
O 0.3715 0.5200 0.1354
O 0.4715 0.6395 0.5108

---

Model 2:
A plane-wave DFT calculation with PBE-GGA was carried out for crystalline Na3AsS4O8 at its relaxed geometry.

* crystal system: monoclinic
* total magnetization: 0.00 μB/f.u.
* calculated volume: 1246.2 Å³/cell

Unit cell a=9.6333 b=11.0318 c=11.8708 alpha=90.00 beta=98.94 gamma=90.00
Space group P2_1/c (No. 14)
One atom of each set of equivalent atoms:
Na 0.0000 0.0000 0.0000
Na 0.1146 0.1290 0.5595
Na 0.3091 0.0821 0.9184
Na 0.5000 0.0000 0.5000
As 0.2943 0.7057 0.7648
S 0.0855 0.6085 0.1925
S 0.2273 0.0781 0.2191
S 0.3476 0.6926 0.4628
S 0.4434 0.7024 0.1732
O 0.0930 0.5972 0.0683
O 0.1118 0.0118 0.7498
O 0.1527 0.1730 0.0208
O 0.1628 0.1291 0.3193
O 0.2183 0.6199 0.4715
O 0.2503 0.1903 0.1336
O 0.4125 0.5661 0.1510
O 0.4708 0.6125 0.4554

---

Stability verdict: model 2, ahead by 0.114 eV/atom

---

Model 1:
A plane-wave DFT calculation with PBE-GGA was carried out for crystalline Na2Sr3As4 at its relaxed geometry.

* crystal system: monoclinic
* calculated volume: 989.5 Å³/cell

Unit cell a=8.3080 b=7.5676 c=17.7904 alpha=90.00 beta=117.79 gamma=90.00
Space group P2_1/c (No. 14)
One atom of each set of equivalent atoms:
Na 0.0515 0.1786 0.3743
Na 0.2592 0.1432 0.7495
Sr 0.1914 0.6789 0.3722
Sr 0.2895 0.0231 0.0998
Sr 0.4058 0.5226 0.0994
As 0.0047 0.1480 0.5362
As 0.1657 0.5199 0.7498
As 0.3793 0.7393 0.2506
As 0.4308 0.1503 0.9633

---

Model 2:
A plane-wave DFT calculation with PBE-GGA was carried out for crystalline Na2Sr3As4 at its relaxed geometry.

* crystal system: monoclinic
* total magnetization: 0.00 μB/f.u.
* calculated volume: 1047.2 Å³/cell

Unit cell a=9.6455 b=9.3416 c=13.8676 alpha=90.00 beta=123.06 gamma=90.00
Space group P2_1/c (No. 14)
One atom of each set of equivalent atoms:
Na 0.1560 0.2088 0.3601
Na 0.2461 0.5705 0.2827
Sr 0.1029 0.6762 0.9305
Sr 0.2702 0.0544 0.0592
Sr 0.4248 0.5313 0.8530
As 0.0377 0.5201 0.6912
As 0.2324 0.1112 0.6022
As 0.4802 0.7205 0.5266
As 0.4887 0.2253 0.7812

---

Stability verdict: model 1, ahead by 0.115 eV/atom

---

Model 1:
A plane-wave DFT calculation with PBE-GGA was carried out for crystalline NpAs at its relaxed geometry.

* crystal system: cubic
* calculated volume: 197.2 Å³/cell

Unit cell a=5.8202 b=5.8202 c=5.8202 alpha=90.00 beta=90.00 gamma=90.00
Space group Fm-3m (No. 225)
One atom of each set of equivalent atoms:
Np 0.0000 0.0000 0.0000
As 0.0000 0.0000 0.5000

---

Model 2:
A plane-wave DFT calculation with PBE-GGA was carried out for crystalline NpAs at its relaxed geometry.

* crystal system: cubic
* total magnetization: 3.97 μB/f.u.
* calculated volume: 42.9 Å³/cell

Unit cell a=3.5020 b=3.5020 c=3.5020 alpha=90.00 beta=90.00 gamma=90.00
Space group Pm-3m (No. 221)
One atom of each set of equivalent atoms:
Np 0.0000 0.0000 0.0000
As 0.5000 0.5000 0.5000

---

Stability verdict: model 1, ahead by 0.147 eV/atom

---

Model 1:
A plane-wave DFT calculation with PBE-GGA was carried out for crystalline PrAsO4 at its relaxed geometry.

* crystal system: tetragonal
* calculated volume: 320.4 Å³/cell

Unit cell a=5.1991 b=5.1991 c=11.8531 alpha=90.00 beta=90.00 gamma=90.00
Space group I4_1/a (No. 88, origin choice 2)
One atom of each set of equivalent atoms:
Pr 0.0000 0.2500 0.1250
As 0.0000 0.2500 0.6250
O 0.1348 0.0020 0.7022

---

Model 2:
A plane-wave DFT calculation with PBE-GGA was carried out for crystalline PrAsO4 at its relaxed geometry.

* crystal system: tetragonal
* calculated volume: 361.1 Å³/cell

Unit cell a=7.4189 b=7.4189 c=6.5612 alpha=90.00 beta=90.00 gamma=90.00
Space group I4_1/amd (No. 141, origin choice 2)
One atom of each set of equivalent atoms:
Pr 0.0000 0.2500 0.3750
As 0.0000 0.2500 0.8750
O 0.0000 0.0718 0.7062

---

Stability verdict: model 2, ahead by 0.016 eV/atom

---

Model 1:
A plane-wave DFT calculation with PBE-GGA was carried out for crystalline SbAsO5 at its relaxed geometry.

* crystal system: orthorhombic
* maximum piezoelectric response: 0.083 C/m²
* calculated volume: 416.8 Å³/cell

Unit cell a=4.9911 b=8.9646 c=9.3159 alpha=90.00 beta=90.00 gamma=90.00
Space group P2_12_12_1 (No. 19)
One atom of each set of equivalent atoms:
Sb 0.1185 0.1529 0.3973
As 0.1097 0.5286 0.7885
O 0.0516 0.5005 0.9698
O 0.0796 0.8252 0.0304
O 0.1728 0.6137 0.2491
O 0.1849 0.0198 0.8077
O 0.2210 0.7065 0.7481

---

Model 2:
A plane-wave DFT calculation with PBE-GGA was carried out for crystalline SbAsO5 at its relaxed geometry.

* crystal system: orthorhombic
* total magnetization: 0.00 μB/f.u.
* calculated volume: 407.7 Å³/cell

Unit cell a=6.2817 b=7.7501 c=8.3742 alpha=90.00 beta=90.00 gamma=90.00
Space group P2_12_12_1 (No. 19)
One atom of each set of equivalent atoms:
Sb 0.2477 0.2453 0.4954
As 0.0156 0.8584 0.3304
O 0.0036 0.5777 0.0761
O 0.0046 0.3687 0.5877
O 0.0522 0.7085 0.4648
O 0.2200 0.3613 0.2824
O 0.2278 0.8946 0.1972

---

Stability verdict: model 1, ahead by 0.178 eV/atom